A plane-wave DFT calculation with PBE was carried out for a relaxed Ce3SiPt5 crystal.

Unit cell a=8.3457 b=8.3457 c=8.3457 alpha=127.75 beta=126.61 gamma=77.96
Last column: nearest neighbours and their distance in Å.
Fractional positions:
Pt  0.4576  0.5981  0.2674  1 Si 2.51
Pt  0.5424  0.4019  0.7326  1 Si 2.51
Pt  0.4576  0.1902  0.8594  1 Si 2.51
Pt  0.8307  0.0981  0.1406  1 Si 2.51
Pt  0.1693  0.3098  0.2674  1 Si 2.51
Pt  0.0000  0.5000  0.0000  2 Si 2.45
Pt  0.0000  0.0000  0.5000  2 Si 2.45
Pt  0.8307  0.6902  0.7326  1 Si 2.51
Pt  0.5424  0.8098  0.1406  1 Si 2.51
Pt  0.1693  0.9019  0.8594  1 Si 2.51
Ce  0.2299  0.9519  0.2780  10 Pt 2.97-3.21, 1 Si 3.20
Ce  0.1739  0.4519  0.7220  10 Pt 2.97-3.21, 1 Si 3.20
Ce  0.6164  0.2500  0.3664  4 Pt 2.92, 1 Si 3.00
Ce  0.3836  0.7500  0.6336  4 Pt 2.92, 1 Si 3.00
Ce  0.7701  0.0481  0.7220  10 Pt 2.97-3.21, 1 Si 3.20
Ce  0.8261  0.5481  0.2780  10 Pt 2.97-3.21, 1 Si 3.20
Si  0.2161  0.2500  0.9661  6 Pt 2.45-2.51
Si  0.7839  0.7500  0.0339  6 Pt 2.45-2.51

Calculated values
space group	Imma
VASP energy	-7.055	eV per atom
energy of formation from the pure elements	-1.10	eV/atom